1.
An optimized crystal structure of K8SbO3. Source: Materials Project, functional PBE.

## Properties
- SG = No. 221
- calculated formation energy (meV per atom) = -852
- total DFT energy (no corrections) (eV/atom) = -3.002

a = 7.044 Å, b = 7.044 Å, c = 7.044 Å
α = 90.00°, β = 90.00°, γ = 90.00°
Positions (direct):
K1 0.230 0.230 0.230
K2 0.230 0.230 0.770
K3 0.230 0.770 0.230
K4 0.230 0.770 0.770
K5 0.770 0.230 0.230
K6 0.770 0.230 0.770
K7 0.770 0.770 0.230
K8 0.770 0.770 0.770
Sb1 0.500 0.500 0.500
O1 0.000 0.000 0.500
O2 0.000 0.500 0.000
O3 0.500 0.000 0.000

2.
An optimized crystal structure of Lu2Ti2O7. Source: Materials Project, functional PBE.

## Properties
- SG = No. 227
- calculated formation energy (meV per atom) = -3783
- total DFT energy (no corrections) (eV/atom) = -8.752

a = 7.102 Å, b = 7.102 Å, c = 7.102 Å
α = 60.00°, β = 60.00°, γ = 60.00°
Positions (direct):
Lu1 0.000 0.000 0.000
Lu2 0.000 0.000 0.500
Lu3 0.000 0.500 0.000
Lu4 0.500 0.000 0.000
Ti1 0.000 0.500 0.500
Ti2 0.500 0.000 0.500
Ti3 0.500 0.500 0.000
Ti4 0.500 0.500 0.500
O1 0.125 0.125 0.125
O2 0.166 0.166 0.584
O3 0.166 0.584 0.166
O4 0.166 0.584 0.584
O5 0.416 0.416 0.834
O6 0.416 0.834 0.416
O7 0.416 0.834 0.834
O8 0.584 0.166 0.166
O9 0.584 0.166 0.584
O10 0.584 0.584 0.166
O11 0.834 0.416 0.416
O12 0.834 0.416 0.834
O13 0.834 0.834 0.416
O14 0.875 0.875 0.875

3.
An optimized crystal structure of K2Se5. Source: Materials Project, functional PBE.

## Properties
- SG = No. 19
- piezoelectric modulus e_max (C/m²) = 0.051
- calculated formation energy (meV per atom) = -912
- total DFT energy (no corrections) (eV/atom) = -3.390

a = 6.673 Å, b = 6.948 Å, c = 19.813 Å
α = 90.00°, β = 90.00°, γ = 90.00°
Positions (direct):
K1 0.087 0.176 0.181
K2 0.148 0.432 0.507
K3 0.352 0.568 0.007
K4 0.413 0.824 0.681
K5 0.587 0.324 0.819
K6 0.648 0.068 0.493
K7 0.852 0.932 0.993
K8 0.913 0.676 0.319
Se1 0.035 0.728 0.808
Se2 0.066 0.416 0.863
Se3 0.097 0.666 0.156
Se4 0.121 0.927 0.536
Se5 0.241 0.068 0.371
Se6 0.259 0.932 0.871
Se7 0.379 0.073 0.036
Se8 0.403 0.334 0.656
Se9 0.434 0.584 0.363
Se10 0.465 0.272 0.308
Se11 0.535 0.772 0.192
Se12 0.566 0.084 0.137
Se13 0.597 0.834 0.844
Se14 0.621 0.573 0.464
Se15 0.741 0.432 0.629
Se16 0.759 0.568 0.129
Se17 0.879 0.427 0.964
Se18 0.903 0.166 0.344
Se19 0.934 0.916 0.637
Se20 0.965 0.228 0.692

4.
An optimized crystal structure of EuMo6Se8. Source: Materials Project, functional PBE.

## Properties
- SG = No. 148
- calculated formation energy (meV per atom) = -966
- total DFT energy (no corrections) (eV/atom) = -7.601

a = 6.861 Å, b = 6.861 Å, c = 6.861 Å
α = 88.85°, β = 88.85°, γ = 88.85°
Positions (direct):
Eu1 0.000 0.000 0.000
Mo1 0.238 0.424 0.560
Mo2 0.424 0.560 0.238
Mo3 0.440 0.762 0.576
Mo4 0.560 0.238 0.424
Mo5 0.576 0.440 0.762
Mo6 0.762 0.576 0.440
Se1 0.123 0.750 0.378
Se2 0.243 0.243 0.243
Se3 0.250 0.622 0.877
Se4 0.378 0.123 0.750
Se5 0.622 0.877 0.250
Se6 0.750 0.378 0.123
Se7 0.757 0.757 0.757
Se8 0.877 0.250 0.622

5.
An optimized crystal structure of LiErTlO2. Source: Materials Project, functional PBE.

## Properties
- SG = No. 8
- calculated formation energy (meV per atom) = -2445
- total DFT energy (no corrections) (eV/atom) = -5.917
- ΔE to the lowest computed polymorph (kJ/mol of formula units) = 0

a = 3.413 Å, b = 3.413 Å, c = 8.676 Å
α = 101.17°, β = 101.17°, γ = 60.12°
Positions (direct):
Li1 0.000 0.000 0.000
Er1 0.249 0.249 0.725
Tl1 0.765 0.765 0.302
O1 0.634 0.634 0.886
O2 0.879 0.879 0.615

6.
An optimized crystal structure of Sn2Rh. Source: Materials Project, functional PBE.

## Properties
- SG = No. 64
- calculated formation energy (meV per atom) = -415
- total DFT energy (no corrections) (eV/atom) = -5.542

a = 6.998 Å, b = 6.998 Å, c = 6.410 Å
α = 90.00°, β = 90.00°, γ = 54.57°
Positions (direct):
Sn1 0.003 0.497 0.750
Sn2 0.164 0.836 0.837
Sn3 0.336 0.664 0.337
Sn4 0.497 0.003 0.250
Sn5 0.503 0.997 0.750
Sn6 0.664 0.336 0.663
Sn7 0.836 0.164 0.163
Sn8 0.997 0.503 0.250
Rh1 0.118 0.118 0.500
Rh2 0.382 0.382 0.000
Rh3 0.618 0.618 0.000
Rh4 0.882 0.882 0.500

7.
An optimized crystal structure of Bi3Pb3N5. Source: Materials Project, functional PBE.

## Properties
- SG = No. 2
- calculated formation energy (meV per atom) = 443
- total DFT energy (no corrections) (eV/atom) = -5.256

a = 6.623 Å, b = 7.637 Å, c = 10.278 Å
α = 92.78°, β = 91.05°, γ = 102.82°
Positions (direct):
Bi1 0.153 0.255 0.366
Bi2 0.253 0.957 0.083
Bi3 0.259 0.201 0.720
Bi4 0.741 0.799 0.280
Bi5 0.747 0.043 0.917
Bi6 0.847 0.745 0.634
Pb1 0.215 0.403 0.026
Pb2 0.299 0.840 0.417
Pb3 0.326 0.717 0.763
Pb4 0.674 0.283 0.237
Pb5 0.701 0.160 0.583
Pb6 0.785 0.597 0.974
N1 0.047 0.983 0.253
N2 0.163 0.688 0.979
N3 0.329 0.130 0.513
N4 0.372 0.388 0.227
N5 0.493 0.039 0.767
N6 0.507 0.961 0.233
N7 0.628 0.612 0.773
N8 0.671 0.870 0.487
N9 0.837 0.312 0.021
N10 0.953 0.017 0.747

8.
An optimized crystal structure of MgTi2Ga4O10. Source: Materials Project, functional PBE.

## Properties
- SG = No. 1
- calculated formation energy (meV per atom) = -2440
- total DFT energy (no corrections) (eV/atom) = -6.682
- ΔE to the lowest computed polymorph (kJ/mol of formula units) = 143

a = 5.484 Å, b = 5.573 Å, c = 7.731 Å
α = 73.93°, β = 73.10°, γ = 62.97°
Positions (direct):
Mg1 0.000 0.000 0.000
Ti1 0.902 0.373 0.679
Ti2 0.902 0.671 0.322
Ga1 0.279 0.819 0.474
Ga2 0.401 0.294 0.930
Ga3 0.516 0.659 0.102
Ga4 0.548 0.229 0.539
O1 0.146 0.915 0.240
O2 0.148 0.516 0.498
O3 0.196 0.562 0.079
O4 0.269 0.141 0.795
O5 0.486 0.508 0.680
O6 0.567 0.956 0.431
O7 0.650 0.943 0.034
O8 0.660 0.487 0.321
O9 0.743 0.405 0.939
O10 0.938 0.056 0.610

9.
An optimized crystal structure of ZnB2Ir2. Source: Materials Project, functional PBE.

## Properties
- SG = No. 139
- calculated formation energy (meV per atom) = -315
- total DFT energy (no corrections) (eV/atom) = -6.774

a = 6.703 Å, b = 6.703 Å, c = 6.703 Å
α = 154.19°, β = 154.19°, γ = 36.82°
Positions (direct):
Zn1 0.000 0.000 0.000
B1 0.250 0.750 0.500
B2 0.750 0.250 0.500
Ir1 0.372 0.372 0.000
Ir2 0.628 0.628 0.000

10.
An optimized crystal structure of MgAg14Pb6O18. Source: Materials Project, functional PBE.

## Properties
- SG = No. 1
- calculated formation energy (meV per atom) = -866
- total DFT energy (no corrections) (eV/atom) = -4.461
- ΔE to the lowest computed polymorph (kJ/mol of formula units) = 64

a = 8.896 Å, b = 8.897 Å, c = 8.934 Å
α = 72.81°, β = 72.81°, γ = 72.78°
Positions (direct):
Mg1 0.000 0.000 0.000
Ag1 0.002 0.504 0.497
Ag2 0.090 0.091 0.591
Ag3 0.170 0.668 0.165
Ag4 0.249 0.251 0.738
Ag5 0.336 0.337 0.330
Ag6 0.338 0.837 0.828
Ag7 0.424 0.426 0.917
Ag8 0.502 0.004 0.497
Ag9 0.580 0.582 0.075
Ag10 0.667 0.171 0.165
Ag11 0.669 0.671 0.663
Ag12 0.756 0.757 0.255
Ag13 0.836 0.339 0.828
Ag14 0.915 0.917 0.402
Pb1 0.002 0.336 0.163
Pb2 0.003 0.671 0.830
Pb3 0.335 0.004 0.163
Pb4 0.335 0.671 0.496
Pb5 0.670 0.004 0.830
Pb6 0.670 0.337 0.496
O1 0.022 0.395 0.890
O2 0.059 0.060 0.164
O3 0.063 0.691 0.557
O4 0.275 0.276 0.145
O5 0.275 0.653 0.768
O6 0.315 0.943 0.436
O7 0.353 0.730 0.225
O8 0.393 0.023 0.890
O9 0.398 0.399 0.514
O10 0.607 0.608 0.479
O11 0.613 0.984 0.102
O12 0.652 0.276 0.768
O13 0.690 0.065 0.558
O14 0.729 0.355 0.225
O15 0.731 0.732 0.848
O16 0.942 0.317 0.436
O17 0.945 0.947 0.829
O18 0.983 0.614 0.101

11.
An optimized crystal structure of Na3Sc2Nb2SiP5O24. Source: Materials Project, functional PBE.

## Properties
- SG = No. 1
- calculated formation energy (meV per atom) = -3004
- total DFT energy (no corrections) (eV/atom) = -7.642

a = 8.882 Å, b = 8.895 Å, c = 22.725 Å
α = 90.03°, β = 90.02°, γ = 119.93°
Positions (direct):
Na1 0.000 0.000 0.000
Na2 0.001 0.989 0.499
Na3 0.035 0.683 0.913
Na4 0.326 0.648 0.334
Na5 0.347 0.652 0.833
Na6 0.368 0.997 0.748
Na7 0.644 0.000 0.244
Na8 0.674 0.336 0.165
Na9 0.684 0.340 0.665
Sc1 0.002 0.992 0.141
Sc2 0.335 0.658 0.474
Sc3 0.341 0.661 0.975
Sc4 0.672 0.326 0.808
Sc5 0.672 0.331 0.308
Sc6 0.998 0.985 0.640
Nb1 0.004 0.993 0.848
Nb2 0.005 0.995 0.349
Nb3 0.328 0.650 0.181
Nb4 0.332 0.654 0.681
Nb5 0.663 0.318 0.015
Nb6 0.669 0.324 0.515
Si1 0.001 0.281 0.243
Si2 0.377 0.031 0.908
Si3 0.996 0.694 0.743
P1 0.042 0.656 0.075
P2 0.045 0.367 0.576
P3 0.289 0.281 0.743
P4 0.290 0.990 0.244
P5 0.336 0.367 0.076
P6 0.337 0.949 0.577
P7 0.378 0.324 0.411
P8 0.625 0.657 0.576
P9 0.627 0.948 0.078
P10 0.667 0.613 0.911
P11 0.668 0.033 0.409
P12 0.712 0.989 0.743
P13 0.713 0.702 0.243
P14 0.957 0.321 0.912
P15 0.959 0.615 0.411
O1 0.019 0.187 0.584
O2 0.020 0.813 0.083
O3 0.033 0.186 0.303
O4 0.034 0.823 0.803
O5 0.135 0.486 0.632
O6 0.138 0.478 0.920
O7 0.140 0.633 0.131
O8 0.140 0.640 0.418
O9 0.145 0.677 0.020
O10 0.153 0.454 0.522
O11 0.173 0.194 0.799
O12 0.174 0.959 0.300
O13 0.180 0.473 0.237
O14 0.183 0.020 0.905
O15 0.183 0.186 0.084
O16 0.183 0.690 0.737
O17 0.183 0.978 0.583
O18 0.196 0.150 0.406
O19 0.205 0.169 0.690
O20 0.207 0.013 0.190
O21 0.306 0.464 0.738
O22 0.309 0.822 0.238
O23 0.313 0.453 0.022
O24 0.315 0.838 0.524
O25 0.337 0.835 0.916
O26 0.349 0.477 0.418
O27 0.362 0.485 0.132
O28 0.365 0.863 0.634
O29 0.468 0.300 0.751
O30 0.469 0.298 0.466
O31 0.474 0.143 0.251
O32 0.478 0.159 0.967
O33 0.483 0.113 0.849
O34 0.484 0.345 0.356
O35 0.508 0.359 0.072
O36 0.508 0.629 0.632
O37 0.509 0.131 0.571
O38 0.512 0.638 0.918
O39 0.513 0.853 0.417
O40 0.515 0.865 0.135
O41 0.529 0.819 0.737
O42 0.533 0.697 0.238
O43 0.536 0.840 0.024
O44 0.537 0.676 0.522
O45 0.638 0.486 0.571
O46 0.640 0.132 0.072
O47 0.646 0.114 0.353
O48 0.647 0.506 0.856
O49 0.676 0.139 0.749
O50 0.681 0.518 0.251
O51 0.695 0.153 0.464
O52 0.703 0.528 0.966
O53 0.800 0.964 0.799
O54 0.801 0.821 0.299
O55 0.806 0.812 0.582
O56 0.808 0.973 0.082
O57 0.821 0.016 0.689
O58 0.821 0.783 0.189
O59 0.833 0.302 0.251
O60 0.836 0.503 0.749
O61 0.839 0.020 0.405
O62 0.839 0.795 0.905
O63 0.840 0.523 0.466
O64 0.841 0.296 0.967
O65 0.862 0.356 0.571
O66 0.862 0.486 0.073
O67 0.874 0.506 0.356
O68 0.877 0.356 0.858
O69 0.967 0.152 0.906
O70 0.967 0.158 0.188
O71 0.969 0.796 0.406
O72 0.981 0.794 0.687

12.
An optimized crystal structure of UTl2Te2O8. Source: Materials Project, functional PBE.

## Properties
- SG = No. 2
- calculated formation energy (meV per atom) = -2079
- total DFT energy (no corrections) (eV/atom) = -6.416
- ΔE to the lowest computed polymorph (kJ/mol of formula units) = 4

a = 7.591 Å, b = 8.188 Å, c = 9.146 Å
α = 92.90°, β = 107.95°, γ = 108.53°
Positions (direct):
U1 0.112 0.440 0.214
U2 0.888 0.560 0.786
Tl1 0.032 0.918 0.186
Tl2 0.297 0.925 0.596
Tl3 0.703 0.075 0.404
Tl4 0.968 0.082 0.814
Te1 0.337 0.402 0.632
Te2 0.395 0.789 0.988
Te3 0.605 0.211 0.012
Te4 0.663 0.598 0.368
O1 0.008 0.582 0.301
O2 0.164 0.287 0.429
O3 0.172 0.639 0.049
O4 0.182 0.794 0.810
O5 0.217 0.305 0.123
O6 0.293 0.210 0.738
O7 0.417 0.608 0.381
O8 0.422 0.995 0.114
O9 0.578 0.005 0.886
O10 0.583 0.392 0.619
O11 0.707 0.790 0.262
O12 0.783 0.695 0.877
O13 0.818 0.206 0.190
O14 0.828 0.361 0.951
O15 0.836 0.713 0.571
O16 0.992 0.418 0.699